No. 1
A plane-wave DFT calculation with GGA+U was carried out for crystalline AlNi2BO5 at its relaxed geometry.

Calculated values
As for the total energy: -6.57 eV/atom. The formation energy comes out at -2320 meV/atom.

Cell lengths 9.2740, 12.0988, 2.9251 Å; angles 90.00, 90.00, 90.00 degrees
Fractional positions:
Al (0.2385, 0.1139, 0.0000)
Al (0.2615, 0.6139, 0.0000)
Al (0.7385, 0.3861, 0.0000)
Al (0.7615, 0.8861, 0.0000)
Ni (0.0000, 0.0000, 0.5000)
Ni (0.0000, 0.5000, 0.0000)
Ni (0.0018, 0.7192, 0.5000)
Ni (0.4982, 0.2192, 0.5000)
Ni (0.5000, 0.0000, 0.0000)
Ni (0.5000, 0.5000, 0.5000)
Ni (0.5018, 0.7808, 0.5000)
Ni (0.9982, 0.2808, 0.5000)
B (0.2301, 0.8604, 0.0000)
B (0.2699, 0.3604, 0.0000)
B (0.7301, 0.6396, 0.0000)
B (0.7699, 0.1396, 0.0000)
O (0.1155, 0.1432, 0.5000)
O (0.1214, 0.3599, 0.0000)
O (0.1270, 0.5777, 0.5000)
O (0.1548, 0.9600, 0.0000)
O (0.1587, 0.7598, 0.0000)
O (0.3413, 0.2598, 0.0000)
O (0.3452, 0.4600, 0.0000)
O (0.3730, 0.0777, 0.5000)
O (0.3786, 0.8599, 0.0000)
O (0.3845, 0.6432, 0.5000)
O (0.6155, 0.3568, 0.5000)
O (0.6214, 0.1401, 0.0000)
O (0.6270, 0.9223, 0.5000)
O (0.6548, 0.5400, 0.0000)
O (0.6587, 0.7402, 0.0000)
O (0.8413, 0.2402, 0.0000)
O (0.8452, 0.0400, 0.0000)
O (0.8730, 0.4223, 0.5000)
O (0.8786, 0.6401, 0.0000)
O (0.8845, 0.8568, 0.5000)

No. 2
A plane-wave DFT calculation with GGA+U was carried out for crystalline Nd20Mn19O60 at its relaxed geometry.

Calculated values
As for the total energy: -7.94 eV/atom. The formation energy comes out at -2954 meV/atom.

Cell lengths 9.4555, 11.0583, 12.9745 Å; angles 74.58, 75.68, 73.48 degrees
Fractional positions:
Nd (0.0263, 0.2352, 0.1666)
Nd (0.0511, 0.6814, 0.1133)
Nd (0.1418, 0.1075, 0.4805)
Nd (0.1707, 0.5810, 0.4251)
Nd (0.2266, 0.0215, 0.7739)
Nd (0.2572, 0.4908, 0.7225)
Nd (0.3402, 0.9067, 0.0809)
Nd (0.3571, 0.3884, 0.0219)
Nd (0.4304, 0.8192, 0.3749)
Nd (0.4580, 0.2925, 0.3184)
Nd (0.5420, 0.7075, 0.6816)
Nd (0.5696, 0.1808, 0.6251)
Nd (0.6429, 0.6116, 0.9781)
Nd (0.6598, 0.0933, 0.9191)
Nd (0.7428, 0.5092, 0.2775)
Nd (0.7734, 0.9785, 0.2261)
Nd (0.8293, 0.4190, 0.5749)
Nd (0.8582, 0.8925, 0.5195)
Nd (0.9489, 0.3186, 0.8867)
Nd (0.9737, 0.7648, 0.8334)
Mn (0.0000, 0.0000, 0.0000)
Mn (0.0998, 0.3995, 0.3030)
Mn (0.1001, 0.9015, 0.2979)
Mn (0.1993, 0.3000, 0.6007)
Mn (0.1992, 0.8006, 0.6011)
Mn (0.3043, 0.1948, 0.9014)
Mn (0.3045, 0.7022, 0.9020)
Mn (0.3981, 0.6006, 0.1987)
Mn (0.4006, 0.1003, 0.1970)
Mn (0.5000, 0.0000, 0.5000)
Mn (0.5000, 0.5000, 0.5000)
Mn (0.5994, 0.8997, 0.8030)
Mn (0.6019, 0.3994, 0.8013)
Mn (0.6955, 0.2978, 0.0980)
Mn (0.6957, 0.8052, 0.0986)
Mn (0.8008, 0.1994, 0.3989)
Mn (0.8007, 0.7000, 0.3993)
Mn (0.8999, 0.0985, 0.7021)
Mn (0.9002, 0.6005, 0.6970)
O (0.0040, 0.5414, 0.8151)
O (0.0068, 0.7444, 0.6412)
O (0.0179, 0.2316, 0.6213)
O (0.0497, 0.8991, 0.1399)
O (0.0736, 0.4729, 0.6061)
O (0.0804, 0.9662, 0.6739)
O (0.1143, 0.8405, 0.9273)
O (0.1507, 0.8967, 0.4582)
O (0.1531, 0.3030, 0.9836)
O (0.1879, 0.5799, 0.9675)
O (0.1974, 0.2586, 0.7778)
O (0.2008, 0.0565, 0.9548)
O (0.2080, 0.3396, 0.4237)
O (0.2086, 0.5428, 0.2412)
O (0.2170, 0.0361, 0.2179)
O (0.2515, 0.7033, 0.7423)
O (0.2760, 0.2725, 0.2066)
O (0.2827, 0.7655, 0.2729)
O (0.3192, 0.6344, 0.5257)
O (0.3246, 0.1282, 0.5931)
O (0.3523, 0.6958, 0.0552)
O (0.3813, 0.3683, 0.5799)
O (0.3927, 0.8567, 0.5587)
O (0.3943, 0.0577, 0.3770)
O (0.4114, 0.3392, 0.8420)
O (0.4117, 0.1351, 0.0218)
O (0.4175, 0.8346, 0.8205)
O (0.4495, 0.5037, 0.3413)
O (0.4709, 0.0789, 0.8096)
O (0.4868, 0.5645, 0.8725)
O (0.5132, 0.4355, 0.1275)
O (0.5291, 0.9211, 0.1904)
O (0.5505, 0.4963, 0.6587)
O (0.5825, 0.1654, 0.1795)
O (0.5883, 0.8649, 0.9782)
O (0.5886, 0.6608, 0.1580)
O (0.6057, 0.9423, 0.6230)
O (0.6073, 0.1433, 0.4413)
O (0.6187, 0.6317, 0.4201)
O (0.6477, 0.3042, 0.9448)
O (0.6754, 0.8718, 0.4069)
O (0.6808, 0.3656, 0.4743)
O (0.7173, 0.2345, 0.7271)
O (0.7240, 0.7275, 0.7934)
O (0.7485, 0.2967, 0.2577)
O (0.7830, 0.9639, 0.7821)
O (0.7914, 0.4572, 0.7588)
O (0.7920, 0.6604, 0.5763)
O (0.7992, 0.9435, 0.0452)
O (0.8026, 0.7414, 0.2222)
O (0.8121, 0.4201, 0.0325)
O (0.8469, 0.6970, 0.0164)
O (0.8493, 0.1033, 0.5418)
O (0.8857, 0.1595, 0.0727)
O (0.9196, 0.0338, 0.3261)
O (0.9264, 0.5271, 0.3939)
O (0.9503, 0.1009, 0.8601)
O (0.9821, 0.7684, 0.3787)
O (0.9932, 0.2556, 0.3588)
O (0.9960, 0.4586, 0.1849)

No. 3
A plane-wave DFT calculation with GGA+U was carried out for crystalline MnCo9O10 at its relaxed geometry.

Calculated values
As for the total energy: -6.21 eV/atom. The formation energy comes out at -1245 meV/atom.

Cell lengths 8.1084, 8.1084, 8.6391 Å; angles 105.47, 105.47, 21.70 degrees
Fractional positions:
Mn (0.0000, 0.0000, 0.0000)
Co (0.0000, 0.0000, 0.5000)
Co (0.2000, 0.2000, 0.5994)
Co (0.2016, 0.2016, 0.1014)
Co (0.3981, 0.3981, 0.6970)
Co (0.3996, 0.3996, 0.2021)
Co (0.6004, 0.6004, 0.7979)
Co (0.6019, 0.6019, 0.3030)
Co (0.7984, 0.7984, 0.8986)
Co (0.8000, 0.8000, 0.4006)
O (0.9998, 0.9998, 0.2559)
O (0.0002, 0.0002, 0.7441)
O (0.1982, 0.1982, 0.8497)
O (0.2010, 0.2010, 0.3498)
O (0.3960, 0.3960, 0.9467)
O (0.3988, 0.3988, 0.4507)
O (0.6012, 0.6012, 0.5493)
O (0.6040, 0.6040, 0.0533)
O (0.7990, 0.7990, 0.6502)
O (0.8018, 0.8018, 0.1503)

Q: Which total magnetic moment values were calculated for the entries above? A: 4.00; 73.01; 32.00, in μB/f.u..